1.
## MgAu4Se4Cl4O12 (PBE)

Data for a geometry-optimized MgAu4Se4Cl4O12 structure. Values from VASP.

Calculated density = 4.9 g/cm³
Offset from the most stable computed form = 66 meV/atom
Energy = -4.401 eV/atom
Space-group type = P1 (1)
Size of the total moment = 0.0 μB/cell

Geometry as Quantum ESPRESSO input:
```
&SYSTEM
  ibrav = 0, nat = 25, ntyp = 5
/
ATOMIC_SPECIES
Mg 24.30 Mg.upf
Au 196.97 Au.upf
Se 78.96 Se.upf
Cl 35.45 Cl.upf
O 16.00 O.upf
ATOMIC_POSITIONS angstrom
Mg 0.000 0.000 0.000
Au 3.465 1.291 4.103
Au 3.388 -0.754 8.285
Au 3.768 5.935 0.475
Au 3.182 5.292 6.018
Se -0.611 8.349 5.074
Se 0.141 4.215 3.193
Se 1.432 6.003 8.961
Se 2.463 2.232 7.131
Cl 0.527 0.742 2.445
Cl 0.566 4.086 0.041
Cl 1.030 -0.617 10.951
Cl 2.492 7.845 0.997
O -0.692 5.594 2.464
O -0.780 1.141 7.573
O -0.857 3.537 6.954
O 0.275 4.891 4.786
O -0.228 8.421 6.692
O 2.035 1.811 5.476
O 1.613 5.718 7.285
O 3.226 3.184 3.303
O 3.407 -0.558 4.885
O 2.750 6.963 4.971
O 2.511 4.766 9.606
O 2.427 7.420 9.357
CELL_PARAMETERS angstrom
4.489 0.000 0.000
-0.977 9.992 0.000
-1.238 -1.558 11.140
```

---

2.
## AuNCl3 (PBE)

Data for a geometry-optimized AuNCl3 structure. Values from VASP.

Calculated density = 3.9 g/cm³
Energy = -2.628 eV/atom
Space-group type = P2_1/c (14)
Size of the total moment = 4.0 μB/cell

Geometry as Quantum ESPRESSO input:
```
&SYSTEM
  ibrav = 0, nat = 20, ntyp = 3
/
ATOMIC_SPECIES
Au 196.97 Au.upf
N 14.01 N.upf
Cl 35.45 Cl.upf
ATOMIC_POSITIONS angstrom
Au -0.033 1.381 1.279
Au -2.987 4.191 5.241
Au 3.232 6.953 2.683
Au 0.277 9.763 6.645
N 1.585 6.556 1.763
N -1.370 10.160 5.725
N 1.614 0.984 2.200
N -1.340 4.588 6.162
Cl -3.915 6.063 6.236
Cl -0.960 10.653 2.274
Cl -1.998 2.334 4.299
Cl 0.956 3.238 0.337
Cl -0.939 7.331 3.881
Cl -3.893 9.384 7.843
Cl 4.138 1.759 0.081
Cl 1.183 3.812 4.043
Cl -0.712 7.906 7.587
Cl 2.243 8.810 3.625
Cl 1.205 0.491 5.650
Cl 4.159 5.081 1.688
CELL_PARAMETERS angstrom
6.154 0.000 0.000
0.000 11.144 0.000
-5.909 0.000 7.924
```

---

3.
## AuNCl4 (PBE)

Data for a geometry-optimized AuNCl4 structure. Values from VASP.

Calculated density = 3.2 g/cm³
Energy = -2.362 eV/atom
Space-group type = C2/c (15)
Size of the total moment = 4.0 μB/cell

Geometry as Quantum ESPRESSO input:
```
&SYSTEM
  ibrav = 0, nat = 12, ntyp = 3
/
ATOMIC_SPECIES
Au 196.97 Au.upf
N 14.01 N.upf
Cl 35.45 Cl.upf
ATOMIC_POSITIONS angstrom
Au 3.156 1.481 0.000
Au 2.110 -1.481 4.855
N 4.743 1.602 7.282
N 5.790 -1.602 2.427
Cl 1.562 0.258 6.265
Cl 5.346 1.355 0.676
Cl 2.608 -0.258 1.410
Cl 6.233 1.355 4.179
Cl 4.300 -1.355 5.531
Cl 7.925 0.258 8.300
Cl 5.187 -1.355 9.034
Cl 8.971 -0.258 3.445
CELL_PARAMETERS angstrom
6.313 -2.961 0.000
6.313 2.961 0.000
-2.092 0.000 9.709
```

---

4.
## Rb2NdAuCl6 (PBE)

Data for a geometry-optimized Rb2NdAuCl6 structure. Values from VASP.

Calculated density = 3.7 g/cm³
Energy = -3.757 eV/atom
Space-group type = Fm-3m (225)
Size of the total moment = 0.0 μB/cell

Geometry as Quantum ESPRESSO input:
```
&SYSTEM
  ibrav = 0, nat = 10, ntyp = 4
/
ATOMIC_SPECIES
Rb 85.47 Rb.upf
Nd 144.24 Nd.upf
Au 196.97 Au.upf
Cl 35.45 Cl.upf
ATOMIC_POSITIONS angstrom
Rb 2.740 2.740 2.740
Rb 8.221 8.221 8.221
Nd 0.000 0.000 0.000
Au 5.481 5.481 5.481
Cl 5.481 5.481 2.727
Cl 5.481 2.727 5.481
Cl 8.235 5.481 5.481
Cl 2.727 5.481 5.481
Cl 5.481 8.235 5.481
Cl 5.481 5.481 8.235
CELL_PARAMETERS angstrom
0.000 5.481 5.481
5.481 0.000 5.481
5.481 5.481 0.000
```

---

5.
## AuClO2 (PBE)

Data for a geometry-optimized AuClO2 structure. Values from VASP.

Calculated density = 4.8 g/cm³
Offset from the most stable computed form = 0 meV/atom
Energy = -3.836 eV/atom
Space-group type = C2/c (15)
Size of the total moment = 0.0 μB/cell

Geometry as Quantum ESPRESSO input:
```
&SYSTEM
  ibrav = 0, nat = 16, ntyp = 3
/
ATOMIC_SPECIES
Au 196.97 Au.upf
Cl 35.45 Cl.upf
O 16.00 O.upf
ATOMIC_POSITIONS angstrom
Au 1.296 5.131 0.000
Au 1.067 15.394 1.709
Au 3.659 5.131 1.709
Au 3.887 15.394 0.000
Cl -0.343 3.266 2.563
Cl -0.114 17.259 0.854
Cl 2.477 6.997 0.854
Cl 2.248 13.528 2.563
O 0.267 9.575 2.645
O 0.496 10.951 0.936
O 1.867 0.688 0.773
O 1.638 19.837 2.481
O 3.088 0.688 0.936
O 2.859 19.837 2.645
O 4.230 9.575 2.481
O 4.459 10.951 0.773
CELL_PARAMETERS angstrom
5.183 0.000 0.000
0.000 20.525 0.000
-0.458 0.000 3.417
```

---

6.
## AuClO2 (PBE)

Data for a geometry-optimized AuClO2 structure. Values from VASP.

Calculated density = 4.9 g/cm³
Offset from the most stable computed form = 4 meV/atom
Energy = -3.831 eV/atom
Space-group type = P2_1/m (11)
Size of the total moment = 0.0 μB/cell

Geometry as Quantum ESPRESSO input:
```
&SYSTEM
  ibrav = 0, nat = 8, ntyp = 3
/
ATOMIC_SPECIES
Au 196.97 Au.upf
Cl 35.45 Cl.upf
O 16.00 O.upf
ATOMIC_POSITIONS angstrom
Au 0.442 0.858 0.859
Au 1.897 2.574 10.937
Cl 1.220 2.574 2.378
Cl 1.119 0.858 9.418
O -0.345 0.858 5.311
O -0.559 2.574 6.675
O 2.898 0.858 5.122
O 2.684 2.574 6.485
CELL_PARAMETERS angstrom
4.459 0.000 0.000
0.000 3.432 0.000
-2.120 0.000 11.796
```

---

7.
## AuClO2 (PBE)

Data for a geometry-optimized AuClO2 structure. Values from VASP.

Calculated density = 5.2 g/cm³
Offset from the most stable computed form = 30 meV/atom
Energy = -3.805 eV/atom
Space-group type = C222_1 (20)
Size of the total moment = 0.0 μB/cell

Geometry as Quantum ESPRESSO input:
```
&SYSTEM
  ibrav = 0, nat = 16, ntyp = 3
/
ATOMIC_SPECIES
Au 196.97 Au.upf
Cl 35.45 Cl.upf
O 16.00 O.upf
ATOMIC_POSITIONS angstrom
Au 1.706 0.000 0.000
Au 1.964 5.596 2.063
Au 5.375 5.596 0.000
Au 5.633 0.000 2.063
Cl 0.000 1.402 1.032
Cl 0.000 9.790 3.095
Cl 3.669 4.194 3.095
Cl 3.669 6.998 1.032
O 0.645 4.475 3.242
O 0.645 6.718 0.885
O 3.024 1.121 1.178
O 3.024 10.071 2.949
O 4.314 1.121 0.885
O 4.314 10.071 3.242
O 6.694 4.475 2.949
O 6.694 6.718 1.178
CELL_PARAMETERS angstrom
7.339 0.000 0.000
0.000 11.192 0.000
0.000 0.000 4.127
```

---

8.
## ZnAu2Cl8O2 (PBE)

Data for a geometry-optimized ZnAu2Cl8O2 structure. Values from VASP.

Calculated density = 3.5 g/cm³
Energy = -2.551 eV/atom
Space-group type = P2_1/c (14)
Size of the total moment = 0.0 μB/cell

Geometry as Quantum ESPRESSO input:
```
&SYSTEM
  ibrav = 0, nat = 52, ntyp = 4
/
ATOMIC_SPECIES
Zn 65.41 Zn.upf
Au 196.97 Au.upf
Cl 35.45 Cl.upf
O 16.00 O.upf
ATOMIC_POSITIONS angstrom
Zn 0.378 3.022 4.477
Zn -1.552 3.258 12.015
Zn 5.470 9.303 3.060
Zn 3.540 9.539 10.597
Au 0.008 0.310 6.744
Au -1.921 5.970 14.281
Au 1.381 7.028 9.576
Au 3.311 11.813 2.039
Au 0.607 0.748 13.036
Au 2.537 5.533 5.499
Au 5.839 6.591 0.793
Au 3.910 12.251 8.331
Cl -0.419 2.618 6.687
Cl -2.349 3.662 14.224
Cl -0.784 7.014 8.807
Cl 1.145 11.828 1.270
Cl -1.613 0.791 12.301
Cl 0.316 5.490 4.763
Cl 0.575 0.416 4.484
Cl -1.355 5.864 12.021
Cl -0.475 0.261 9.000
Cl 1.455 6.019 1.462
Cl -1.556 8.240 14.270
Cl 0.373 10.602 6.733
Cl 1.200 9.283 10.233
Cl 3.129 9.559 2.695
Cl 2.330 7.755 6.029
Cl 0.400 11.087 13.567
Cl 3.518 1.474 1.508
Cl 1.588 4.806 9.045
Cl 0.789 3.002 12.379
Cl 2.718 3.278 4.842
Cl 3.545 1.959 8.342
Cl 5.474 4.321 0.805
Cl 2.463 6.542 13.612
Cl 4.393 12.300 6.075
Cl 5.273 6.697 3.053
Cl 3.343 12.145 10.591
Cl 3.602 7.071 10.311
Cl 5.531 11.770 2.774
Cl 2.773 0.733 13.805
Cl 4.702 5.547 6.267
Cl 6.267 8.899 0.850
Cl 4.337 9.943 8.388
O -0.495 9.134 4.011
O -2.424 9.707 11.549
O 0.262 2.830 2.479
O -1.668 3.451 10.016
O 5.586 9.110 5.058
O 3.656 9.731 12.596
O 6.342 2.854 3.526
O 4.413 3.427 11.063
CELL_PARAMETERS angstrom
7.777 0.000 0.000
0.000 12.561 0.000
-3.859 0.000 15.075
```

---

9.
## PAuCl4 (PBE)

Data for a geometry-optimized PAuCl4 structure. Values from VASP.

Calculated density = 3.2 g/cm³
Energy = -3.275 eV/atom
Space-group type = P2_1/c (14)

Geometry as Quantum ESPRESSO input:
```
&SYSTEM
  ibrav = 0, nat = 24, ntyp = 3
/
ATOMIC_SPECIES
P 30.97 P.upf
Au 196.97 Au.upf
Cl 35.45 Cl.upf
ATOMIC_POSITIONS angstrom
P 1.599 1.971 3.092
P 1.287 5.630 6.342
P 5.798 9.572 0.158
P 5.485 13.231 3.408
Au 3.194 3.538 3.127
Au 2.882 4.063 6.377
Au 4.203 11.139 0.123
Au 3.891 11.664 3.373
Cl -0.208 2.605 3.736
Cl 0.105 4.996 0.486
Cl 1.185 1.187 1.272
Cl 0.873 6.414 4.522
Cl 1.933 0.328 4.222
Cl 2.245 7.273 0.972
Cl 2.280 10.020 3.344
Cl 2.592 12.782 0.094
Cl 4.492 2.420 6.407
Cl 4.805 5.181 3.156
Cl 4.840 7.928 5.528
Cl 5.152 14.874 2.278
Cl 6.212 8.788 1.978
Cl 5.899 14.015 5.228
Cl 6.980 10.206 6.014
Cl 7.292 12.597 2.764
CELL_PARAMETERS angstrom
7.709 0.000 0.000
0.000 15.202 0.000
-0.625 0.000 6.500
```

---

10.
## PAuCl8 (PBE)

Data for a geometry-optimized PAuCl8 structure. Values from VASP.

Calculated density = 2.7 g/cm³
Energy = -2.866 eV/atom
Space-group type = Imma (74)

Geometry as Quantum ESPRESSO input:
```
&SYSTEM
  ibrav = 0, nat = 40, ntyp = 3
/
ATOMIC_SPECIES
P 30.97 P.upf
Au 196.97 Au.upf
Cl 35.45 Cl.upf
ATOMIC_POSITIONS angstrom
P 3.270 8.078 -3.039
P 3.270 0.039 3.039
P -3.270 8.000 3.039
P 3.270 8.000 3.039
Au 6.540 4.020 -0.922
Au 0.000 4.020 0.729
Au 6.540 4.020 5.349
Au 0.000 4.020 7.001
Cl 6.540 -4.020 3.238
Cl 6.540 1.700 -0.910
Cl 2.266 -1.097 1.794
Cl 10.814 -1.097 1.794
Cl 0.000 1.699 0.714
Cl 4.503 1.182 2.033
Cl 8.577 1.182 2.033
Cl 2.266 6.943 -1.794
Cl 4.274 -1.097 4.284
Cl 2.322 4.020 0.730
Cl 4.219 -4.020 6.808
Cl 6.540 6.339 -0.910
Cl 6.540 4.020 1.406
Cl 4.503 9.221 -2.033
Cl 2.037 1.182 4.046
Cl 0.000 6.340 0.714
Cl 6.540 1.699 5.364
Cl 4.503 6.857 2.033
Cl 2.037 -1.182 8.111
Cl 0.000 4.020 4.673
Cl 0.000 1.700 6.988
Cl 2.322 12.059 -0.730
Cl 4.219 4.020 5.349
Cl 2.266 9.136 1.794
Cl 4.274 1.097 7.873
Cl -2.037 6.857 4.046
Cl 2.037 6.857 4.046
Cl 6.540 6.340 5.364
Cl -4.274 9.136 4.284
Cl 4.274 9.136 4.284
Cl 0.000 6.339 6.988
Cl 0.000 12.059 2.841
CELL_PARAMETERS angstrom
-6.540 8.039 6.078
6.540 -8.039 6.078
6.540 8.039 -6.078
```

---

11.
## Rb2PrAuCl6 (PBE)

Data for a geometry-optimized Rb2PrAuCl6 structure. Values from VASP.

Calculated density = 3.6 g/cm³
Energy = -3.753 eV/atom
Space-group type = Fm-3m (225)
Size of the total moment = 0.0 μB/cell

Geometry as Quantum ESPRESSO input:
```
&SYSTEM
  ibrav = 0, nat = 10, ntyp = 4
/
ATOMIC_SPECIES
Rb 85.47 Rb.upf
Pr 140.91 Pr.upf
Au 196.97 Au.upf
Cl 35.45 Cl.upf
ATOMIC_POSITIONS angstrom
Rb 2.750 2.750 2.750
Rb 8.251 8.251 8.251
Pr 0.000 0.000 0.000
Au 5.500 5.500 5.500
Cl 5.500 5.500 2.747
Cl 5.500 2.747 5.500
Cl 8.254 5.500 5.500
Cl 2.747 5.500 5.500
Cl 5.500 8.254 5.500
Cl 5.500 5.500 8.254
CELL_PARAMETERS angstrom
0.000 5.500 5.500
5.500 0.000 5.500
5.500 5.500 0.000
```

---

12.
## Rb3Au3Cl8 (PBE)

Data for a geometry-optimized Rb3Au3Cl8 structure. Values from VASP.

Calculated density = 4.3 g/cm³
Energy = -3.011 eV/atom
Space-group type = C2/c (15)

Geometry as Quantum ESPRESSO input:
```
&SYSTEM
  ibrav = 0, nat = 28, ntyp = 3
/
ATOMIC_SPECIES
Rb 85.47 Rb.upf
Au 196.97 Au.upf
Cl 35.45 Cl.upf
ATOMIC_POSITIONS angstrom
Rb 4.254 3.734 13.940
Rb 2.855 0.035 7.736
Rb 1.581 -0.035 17.030
Rb 8.200 0.035 1.557
Rb 6.926 -0.035 10.851
Rb 5.527 -3.734 4.647
Au 0.000 0.000 0.000
Au -1.273 0.000 9.294
Au 4.264 0.024 3.553
Au 2.990 -0.024 12.847
Au 6.791 0.024 5.740
Au 5.517 -0.024 15.034
Cl 1.751 1.542 14.004
Cl 2.018 0.220 1.185
Cl 3.936 2.146 10.609
Cl 0.745 -0.220 10.479
Cl 5.340 1.642 2.306
Cl 4.572 2.146 17.272
Cl 5.715 1.642 6.987
Cl 3.024 -1.542 4.710
Cl 6.757 1.542 13.877
Cl 4.066 -1.642 11.600
Cl 5.209 -2.146 1.315
Cl 4.441 -1.642 16.281
Cl 9.036 0.220 8.108
Cl 5.845 -2.146 7.979
Cl 7.763 -0.220 17.402
Cl 8.030 -1.542 4.583
CELL_PARAMETERS angstrom
6.164 -3.855 0.000
6.164 3.855 0.000
-2.547 0.000 18.587
```